Entry 1:
This record from Materials Project describes an optimized crystal structure of UNbN2. The functional is meta-GGA r2SCAN.

Lattice parameters (Å, degrees): 3.264 5.745 10.941 90.00 90.00 90.00
Sites, in units of the cell vectors:
N 0.750 0.230 0.496
N 0.750 0.730 0.004
N 0.250 0.270 0.996
N 0.250 0.770 0.504
U 0.250 0.076 0.645
N 0.250 0.664 0.244
Nb 0.250 0.929 0.098
Nb 0.250 0.429 0.402
U 0.750 0.924 0.355
Nb 0.750 0.071 0.902
N 0.250 0.164 0.256
U 0.750 0.424 0.145
N 0.750 0.336 0.756
Nb 0.750 0.571 0.598
U 0.250 0.576 0.855
N 0.750 0.836 0.744

Output
SG   Pnma (62)
DFT formation energy   -145.9 kJ/mol of atoms
Total magnetization   1.6 μB/f.u.
Total energy   -32.25 eV/atom

---

Entry 2:
This record from Materials Project describes an optimized crystal structure of Cs2NiF6. The functional is meta-GGA r2SCAN.

Lattice parameters (Å, degrees): 6.265 6.265 6.265 60.00 60.00 60.00
Sites, in units of the cell vectors:
F 0.798 0.798 0.202
F 0.798 0.202 0.798
F 0.202 0.798 0.202
Ni 0.000 0.000 0.000
Cs 0.250 0.250 0.250
Cs 0.750 0.750 0.750
F 0.202 0.798 0.798
F 0.202 0.202 0.798
F 0.798 0.202 0.202

Output
SG   Fm-3m (225)
DFT formation energy   -238.0 kJ/mol of atoms
Total magnetization   0.0 μB/f.u.
Total energy   -11.46 eV/atom

---

Entry 3:
This record from Materials Project describes an optimized crystal structure of Cs5BiMo4O16. The functional is meta-GGA r2SCAN.

Lattice parameters (Å, degrees): 8.358 10.449 13.401 83.89 71.75 70.17
Sites, in units of the cell vectors:
Cs 0.951 0.939 0.882
Mo 0.979 0.635 0.624
Cs 0.439 0.550 0.374
Mo 0.402 0.857 0.624
Cs 0.442 0.246 0.121
O 0.428 0.915 0.150
O 0.332 0.750 0.726
Mo 0.350 0.145 0.856
O 0.055 0.251 0.277
O 0.232 0.255 0.964
O 0.947 0.258 0.733
O 0.951 0.743 0.723
Mo 0.206 0.644 0.145
O 0.165 0.480 0.619
O 0.432 0.094 0.358
Mo 0.027 0.358 0.377
O 0.427 0.577 0.149
Cs 0.563 0.747 0.879
O 0.018 0.722 0.500
O 0.771 0.738 0.037
O 0.220 0.398 0.355
Mo 0.654 0.848 0.145
Cs 0.172 0.553 0.882
Bi 0.807 0.747 0.392
Cs 0.833 0.439 0.118
O 0.864 0.482 0.876
O 0.263 0.011 0.876
O 0.786 0.981 0.381
O 0.575 0.899 0.642
Mo 0.604 0.136 0.376
O 0.741 0.981 0.124
O 0.988 0.271 0.500
O 0.679 0.758 0.267
O 0.841 0.514 0.382
O 0.483 0.769 0.502
O 0.059 0.734 0.268
O 0.196 0.754 0.037
Mo 0.799 0.348 0.855
O 0.579 0.415 0.850
Cs 0.566 0.445 0.625
O 0.808 0.238 0.963
Cs 0.053 0.053 0.119
Cs 0.192 0.943 0.376
O 0.576 0.077 0.851
Bi 0.199 0.246 0.609
O 0.673 0.244 0.275
Cs 0.812 0.051 0.626
O 0.327 0.235 0.733
O 0.787 0.594 0.645
O 0.522 0.224 0.499
O 0.140 0.511 0.124
O 0.221 0.013 0.619

Output
SG   P1 (1)
DFT formation energy   -213.5 kJ/mol of atoms
Total magnetization   0.0 μB/f.u.
Total energy   -16.98 eV/atom

---

Entry 4:
This record from Materials Project describes an optimized crystal structure of ErAu. The functional is meta-GGA r2SCAN.

Lattice parameters (Å, degrees): 3.539 3.539 3.539 90.00 90.00 90.00
Sites, in units of the cell vectors:
Au 0.000 0.000 0.000
Er 0.500 0.500 0.500

Output
SG   Pm-3m (221)
DFT formation energy   -93.0 kJ/mol of atoms
Total magnetization   0.0 μB/f.u.
Total energy   -43.22 eV/atom

---

- The highest DFT formation energy belongs to which entry?
  ErAu

---

- What is the DFT formation energy in the second record?
  -238.0 kJ/mol of atoms

---

- Which of these has the highest total energy?
  Cs2NiF6